No. 1
! Sr4Hf3O10 (GGA-PBE, optimized geometry); values from VASP
&SYSTEM
  ibrav = 0, nat = 34, ntyp = 3
/
ATOMIC_SPECIES
Sr 87.62 Sr.upf
Hf 178.49 Hf.upf
O 16.00 O.upf
CELL_PARAMETERS angstrom
14.770 -2.905 0.000
14.770 2.905 0.000
0.000 0.000 5.802
ATOMIC_POSITIONS crystal
Sr 0.070 0.070 0.000
Sr 0.205 0.205 0.000
Sr 0.295 0.295 0.500
Sr 0.430 0.430 0.500
Sr 0.570 0.570 0.500
Sr 0.705 0.705 0.500
Sr 0.795 0.795 0.000
Sr 0.930 0.930 0.000
Hf 0.000 0.000 0.500
Hf 0.142 0.142 0.500
Hf 0.358 0.358 0.000
Hf 0.500 0.500 0.000
Hf 0.642 0.642 0.000
Hf 0.858 0.858 0.500
O 0.070 0.070 0.500
O 0.075 0.645 0.215
O 0.145 0.575 0.715
O 0.197 0.803 0.803
O 0.212 0.212 0.500
O 0.288 0.288 0.000
O 0.303 0.697 0.303
O 0.355 0.925 0.215
O 0.425 0.855 0.715
O 0.430 0.430 0.000
O 0.570 0.570 0.000
O 0.575 0.145 0.285
O 0.645 0.075 0.785
O 0.697 0.303 0.697
O 0.712 0.712 0.000
O 0.788 0.788 0.500
O 0.803 0.197 0.197
O 0.855 0.425 0.285
O 0.925 0.355 0.785
O 0.930 0.930 0.500
! Space-group type = Cmce
! Uncorrected energy = -8.3756 eV per atom


No. 2
! Sr3Hf2O7 (GGA-PBE, optimized geometry); values from VASP
&SYSTEM
  ibrav = 0, nat = 12, ntyp = 3
/
ATOMIC_SPECIES
Sr 87.62 Sr.upf
Hf 178.49 Hf.upf
O 16.00 O.upf
CELL_PARAMETERS angstrom
-2.066 2.066 10.516
2.066 -2.066 10.516
2.066 2.066 -10.516
ATOMIC_POSITIONS crystal
Sr 0.000 0.000 0.000
Sr 0.187 0.187 0.000
Sr 0.813 0.813 0.000
Hf 0.401 0.401 0.000
Hf 0.599 0.599 0.000
O 0.098 0.598 0.500
O 0.302 0.302 0.000
O 0.402 0.902 0.500
O 0.500 0.500 0.000
O 0.598 0.098 0.500
O 0.698 0.698 0.000
O 0.902 0.402 0.500
! Offset from the most stable computed form = 0.0128 eV per atom
! Space-group type = I4/mmm
! Uncorrected energy = -8.2366 eV per atom


no.,formation energy from the elements (eV per atom)
1,-3.7145
2,-3.6691